(1)
## NaLaVSbO6 (GGA+U)

Data for a geometry-optimized NaLaVSbO6 structure.

```
10
Lattice="-0.4530 1.2477 -5.5029 -3.5094 4.1069 -1.6914 2.0918 4.8737 -1.9787" Properties=species:S:1:pos:R:3 pbc="T T T"
Na -0.4676 2.5571 -2.2932
La -1.4029 7.6712 -6.8797
V -0.9353 5.1141 -4.5865
Sb 0.0000 0.0000 0.0000
O -0.6928 3.1699 -5.0473
O -1.1778 7.0584 -4.1257
O 0.3591 5.6206 -6.0422
O -2.2297 4.6077 -3.1307
O -2.4574 5.2351 -5.8978
O 0.5869 4.9932 -3.2752
```

Summary:
Symmetry: F-43m, No. 216
M_tot, Bohr magnetons per cell: 2.000
ΔE_f, eV per formula unit: -24.98
V, Å³ per atom: 12.83


(2)
## NaSrLaWO6 (GGA+U)

Data for a geometry-optimized NaSrLaWO6 structure.

```
10
Lattice="0.0000 -4.0879 -4.0879 4.0879 0.0000 -4.0879 4.0879 -4.0879 0.0000" Properties=species:S:1:pos:R:3 pbc="T T T"
Na 0.0000 0.0000 0.0000
Sr 6.1319 -6.1319 -6.1319
La 2.0440 -2.0440 -2.0440
W 4.0879 -4.0879 -4.0879
O 2.1530 -4.0879 -4.0879
O 6.0228 -4.0879 -4.0879
O 4.0879 -6.0228 -4.0879
O 4.0879 -2.1530 -4.0879
O 4.0879 -4.0879 -6.0228
O 4.0879 -4.0879 -2.1530
```

Summary:
Symmetry: F-43m, No. 216
M_tot, Bohr magnetons per cell: 0.000
ΔE_f, eV per formula unit: -27.84
Energy above the most stable polymorph in this dataset, meV per atom: 87
V, Å³ per atom: 13.66


(3)
## NaSrLaWO6 (GGA+U)

Data for a geometry-optimized NaSrLaWO6 structure.

```
40
Lattice="-8.0006 1.1369 -2.5394 -1.9768 -7.8184 2.7275 -1.9691 3.1548 7.6160" Properties=species:S:1:pos:R:3 pbc="T T T"
Na 0.0000 0.0000 0.0000
Na -5.9732 -1.7634 3.9021
Na -1.9729 -2.3318 5.1718
Na -4.0003 0.5685 -1.2697
Sr -4.9848 2.1458 2.5383
Sr -4.9887 -3.3408 0.0941
Sr -0.9884 -3.9092 1.3638
Sr -0.9845 1.5774 3.8080
La -8.9598 -2.6451 5.8531
La -3.9711 0.6957 5.7591
La -3.9750 -4.7909 3.3148
La -6.9869 -0.3132 0.6813
W -2.9866 -0.8817 1.9510
W -7.9753 -4.2224 2.0451
W -7.9714 1.2642 4.4893
W -4.9595 -3.2135 7.1228
O -1.1576 -0.6665 2.6322
O -9.9285 -4.2387 1.8443
O -9.6128 1.7912 3.5492
O -3.1940 -3.9395 7.5826
O -2.8177 0.7920 0.9495
O -5.8186 -4.7891 7.9053
O -7.9973 -6.1316 2.4783
O -7.2593 3.0752 4.2752
O -2.3266 -1.9698 0.4394
O -8.7995 1.6878 6.2328
O -5.0221 -2.2103 8.8241
O -7.7447 -4.5612 0.1120
O -4.8156 -1.0969 1.2698
O -6.0221 -4.2062 2.2459
O -6.3301 0.7371 5.4295
O -6.7251 -2.4875 6.6631
O -3.1556 -2.5554 2.9526
O -4.1005 -1.6379 6.3403
O -7.9533 -2.3133 1.6119
O -8.6835 -0.5469 4.7035
O -3.6466 0.2065 3.4627
O -7.1434 0.8405 2.7459
O -4.8969 -4.2168 5.4215
O -8.2059 -3.8837 3.9782
```

Summary:
Symmetry: Pnnn, No. 48
M_tot, Bohr magnetons per cell: 0.000
ΔE_f, eV per formula unit: -28.71
Energy above the most stable polymorph in this dataset, meV per atom: 0
V, Å³ per atom: 15.28


(4)
## NaSrLaWO6 (GGA+U)

Data for a geometry-optimized NaSrLaWO6 structure.

```
10
Lattice="0.0000 -4.2972 -4.2972 4.2972 0.0000 -4.2972 4.2972 -4.2972 0.0000" Properties=species:S:1:pos:R:3 pbc="T T T"
Na 2.1486 -2.1486 -2.1486
Sr 6.4458 -6.4458 -6.4458
La 0.0000 0.0000 0.0000
W 4.2972 -4.2972 -4.2972
O 2.3471 -4.2972 -4.2972
O 6.2473 -4.2972 -4.2972
O 4.2972 -6.2473 -4.2972
O 4.2972 -2.3471 -4.2972
O 4.2972 -4.2972 -6.2473
O 4.2972 -4.2972 -2.3471
```

Summary:
Symmetry: F-43m, No. 216
M_tot, Bohr magnetons per cell: 0.000
ΔE_f, eV per formula unit: -28.10
Energy above the most stable polymorph in this dataset, meV per atom: 62
V, Å³ per atom: 15.87


(5)
## Na3LaV2O8 (GGA+U)

Data for a geometry-optimized Na3LaV2O8 structure.

```
112
Lattice="-3.3931 -3.1653 3.3306 -5.1842 -6.6248 -11.5777 14.3654 -13.8368 1.4850" Properties=species:S:1:pos:R:3 pbc="T T T"
Na -6.2210 -9.3856 -5.7175
Na -1.6462 -7.5301 -4.3710
Na -0.6511 -11.0694 -5.8154
Na -0.4127 -3.0730 -3.0855
Na 0.6444 -4.4990 1.7138
Na 6.0472 -18.6068 -6.1547
Na 5.5365 -15.8919 0.1669
Na 2.5541 -12.8843 -4.6434
Na 8.2940 -19.2911 -9.5369
Na 2.6574 -9.3092 3.3086
Na 8.9650 -14.9905 -0.6855
Na -6.0324 -7.7598 -8.5211
Na 2.2668 -7.4531 -0.3463
Na 5.2166 -9.5062 1.0763
Na 3.2180 -9.6807 -5.5747
Na 3.2796 -17.3325 -8.6686
Na 7.7335 -18.9196 -0.6536
Na 5.5702 -14.3013 -2.5838
Na 0.2267 -7.7111 -6.9315
Na 7.1253 -9.5373 -1.5494
Na 6.2225 -16.1462 -8.8397
Na 1.3171 -15.8499 -4.1814
Na -3.3699 -4.3818 -2.8013
Na -0.4593 -7.4567 2.0750
La -1.2864 -9.2248 -1.0147
La 7.6238 -14.9312 -5.6906
La -2.6054 -2.7227 0.2790
La -4.7658 -5.6324 -5.9336
La 3.4186 -11.1217 -1.5661
La -0.9930 -9.8454 -9.6358
La 1.2582 -14.0315 -7.7787
La 7.3304 -14.3106 2.9306
V 10.4755 -13.4047 2.5804
V 11.9964 -14.2941 -1.2124
V -4.6509 -7.8269 -2.7444
V 1.0826 -1.5840 -0.0391
V 4.5778 -7.6772 -2.4819
V 7.7101 -16.8788 -3.0383
V 4.1142 -15.8960 -5.5695
V -1.3031 -14.0576 -5.0425
V -1.8307 -12.9739 -9.0472
V 6.1155 -20.6745 -3.7731
V 0.2097 -17.7126 -7.1877
V 5.9432 -11.4697 -4.4824
V -0.4262 -5.7081 -1.4097
V 7.0169 -12.2937 -0.0856
V -3.3290 -9.3103 -6.8936
V 0.9347 -9.4998 -3.4284
O 3.1997 -5.4651 1.0392
O -4.3986 -7.9282 -6.8088
O 1.7800 -6.8816 3.0735
O 1.1816 -8.8361 -1.8576
O 7.2955 -12.2862 1.6367
O -1.5922 -4.4158 -1.2304
O -0.7934 -5.5941 3.5153
O -2.5429 -5.5619 -6.8390
O 9.5144 -14.2849 1.4533
O -7.3297 -9.7247 -7.8004
O 5.6185 -11.2986 -0.4255
O -0.1001 -5.8418 -5.4984
O 0.8413 -5.1116 -2.4853
O 6.6904 -20.9983 -8.5795
O 11.4283 -15.8077 -0.5465
O -0.2357 -2.3758 0.8309
O -1.9587 -3.8200 -4.7392
O 8.1744 -15.2051 -3.1495
O 4.5145 -16.0419 -10.4910
O 4.2761 -8.8503 -1.2209
O 0.9101 -11.4740 -0.7300
O -4.0939 -10.6099 -5.9741
O 6.4099 -17.0621 -1.8849
O 4.7497 -19.6969 -4.2552
O -3.9147 -6.7021 -3.8910
O 2.8656 -10.3810 0.8709
O 7.2049 -8.2070 0.4271
O 9.0490 -17.9037 -2.5614
O 7.4063 -20.4540 -4.9319
O 7.2260 -17.3140 -4.6337
O -1.2327 -7.0872 -2.1108
O 9.1057 -19.2017 -6.9938
O 9.9591 -17.0471 -5.5068
O 1.3313 -11.9754 -9.4766
O 4.7265 -12.1317 -3.3854
O 4.4052 -7.7409 2.3661
O 3.3225 -13.2409 -0.4408
O -2.3558 -12.6798 -4.8253
O 1.1986 -8.3183 -4.6890
O 1.0475 -16.4580 -8.1074
O 6.7957 -13.9328 -0.5720
O 4.2489 -19.7613 -7.6296
O -3.1440 -9.7645 -8.5680
O 2.0466 -10.8354 -3.6520
O 9.6752 -17.7761 0.7804
O 2.8120 -14.8109 -6.0039
O -2.6251 -4.7442 1.5748
O -1.1067 -11.8652 -7.9446
O 5.8286 -18.4988 -9.6474
O 1.8339 -14.1117 -2.6341
O 3.5115 -6.3121 -2.2512
O 4.7913 -16.6970 -6.9376
O 0.2454 -6.2062 0.0979
O -0.7257 -10.0213 -3.4409
O -1.7590 -8.9704 -6.2678
O 2.2961 -11.8066 -6.9032
O 9.5379 -16.5457 3.2398
O 3.8212 -15.7942 -1.4774
O 8.3821 -11.5724 -0.9430
O 5.3843 -14.9634 -4.8204
O 10.6169 -13.3292 -1.6811
O 0.2541 -13.4966 -5.6062
O 3.4047 -14.0585 -8.8547
O 3.4469 -17.0706 -4.4319
```

Summary:
Symmetry: Pca2_1, No. 29
M_tot, Bohr magnetons per cell: 0.001
ΔE_f, eV per formula unit: -37.62
V, Å³ per atom: 14.60


(6)
## NaLaW2O8 (GGA+U)

Data for a geometry-optimized NaLaW2O8 structure.

```
12
Lattice="-2.7170 2.7170 5.8706 2.7170 -2.7170 5.8706 2.7170 2.7170 -5.8706" Properties=species:S:1:pos:R:3 pbc="T T T"
Na 0.0000 0.0000 0.0000
La 2.7170 0.0000 2.9353
W 0.0000 2.7170 2.9353
W 0.0000 0.0000 5.8706
O -1.3092 3.5444 3.9121
O 1.3092 1.8897 3.9121
O 0.7791 1.2953 6.8946
O 1.9379 1.4217 1.0239
O 1.2953 -0.7791 4.8467
O 1.4217 3.4961 -1.0239
O -0.8274 1.4079 1.9586
O 0.8274 4.0262 1.9586
```

Summary:
Symmetry: I-4, No. 82
ΔE_f, eV per formula unit: -31.43
V, Å³ per atom: 14.45